*A*
LiMnP2O7, relaxed, DFT PBE+U; SG = P2_1/c (14); crystal system = monoclinic; size of the total moment = 4.00 μB/f.u.
1.0
-3.218 -6.815 -2.352
4.333 -3.634 4.599
-4.562 -0.623 8.045
Mn P O Li
4 8 28 4
Cartesian
-3.822 -4.935 6.053
0.375 -6.137 4.239
-3.096 -7.917 0.893
-0.351 -3.155 9.398
-4.490 -5.953 3.001
1.043 -5.119 7.290
-1.868 -7.733 5.786
0.243 -7.783 1.639
-3.689 -3.289 8.652
-1.362 -5.694 11.222
-2.084 -5.377 -0.930
-1.579 -3.338 4.505
-2.414 -6.802 -0.485
-3.020 -8.757 5.559
-0.426 -2.315 4.732
-2.394 -3.502 5.799
-1.075 -4.621 3.884
-2.091 -4.315 0.147
-1.033 -4.269 10.776
1.028 -8.723 2.659
-2.299 -2.695 8.679
-3.815 -5.252 4.180
0.249 -6.353 2.259
-5.367 -6.098 6.257
1.920 -4.973 4.034
-1.147 -8.376 1.613
-1.356 -6.757 10.144
-3.358 -6.364 2.036
-4.474 -2.348 7.632
-3.575 -8.394 8.338
0.369 -5.819 6.111
-0.930 -8.349 6.918
2.057 -4.048 6.950
0.129 -2.678 1.954
-2.517 -2.722 3.373
-0.088 -4.708 8.256
-2.372 -6.450 6.407
-3.695 -4.718 8.033
-5.504 -7.023 3.342
-1.052 -7.570 4.492
-1.231 -4.743 1.911
-5.057 -8.326 4.804
1.610 -2.745 5.487
-2.216 -6.329 8.380

---

*B*
LiMnP2O7, relaxed, DFT PBE+U; SG = P1 (1); crystal system = triclinic; size of the total moment = 4.00 μB/f.u.
1.0
-9.714 0.000 0.000
-0.007 -9.812 0.000
0.081 2.237 10.928
O P Mn Li
56 16 8 8
Cartesian
-7.142 0.019 0.935
-4.211 -1.871 5.098
-5.215 -6.802 8.602
-8.156 -4.044 9.260
-8.888 -3.670 6.767
-7.742 -6.639 7.559
-8.899 -3.363 2.339
-4.328 -0.604 2.105
-5.649 1.175 6.833
-6.872 -1.044 4.455
-0.612 -6.718 5.068
-2.001 -1.947 6.407
-5.506 -6.033 5.697
-3.076 -5.827 3.280
-0.547 -6.905 7.599
-8.801 0.891 8.075
-1.824 -0.914 3.358
-0.782 -0.422 1.223
-9.102 -1.022 5.787
-3.863 0.821 8.496
-8.083 -8.683 4.873
-8.074 -7.581 1.935
-6.485 -3.808 4.830
-8.107 -2.647 0.015
-6.677 -1.725 7.687
-9.217 -1.848 8.578
-7.468 -4.908 0.985
-5.588 -5.541 3.224
-3.989 -8.719 4.025
-9.012 -0.594 3.291
-0.884 -3.869 4.067
-2.273 -7.587 9.850
-3.444 -4.035 6.230
-4.222 -5.244 1.166
-0.822 -4.074 8.536
-1.383 0.949 6.218
-5.417 -2.209 9.775
-6.530 -2.695 1.956
-3.070 -4.899 9.084
-8.862 -6.873 9.696
-0.507 -5.545 2.134
-2.754 -6.746 6.452
-1.640 -0.114 8.921
-5.700 -8.240 2.308
-3.281 0.120 10.856
-4.169 -2.059 7.629
-2.209 -2.679 10.096
-1.613 -3.342 1.648
-5.646 -4.089 8.030
-0.756 -8.361 2.975
-4.141 -3.462 3.006
-1.254 -4.860 10.916
-6.219 0.778 9.331
-3.284 -8.203 1.591
-7.694 -6.021 4.456
-6.487 -7.513 0.006
-5.303 1.441 8.251
-6.358 -5.291 4.641
-0.681 -0.091 2.693
-1.355 -7.327 6.263
-4.215 -4.971 2.650
-3.418 -2.473 6.260
-4.249 -8.916 2.581
-1.933 -4.078 9.695
-7.711 -3.450 1.278
-2.669 0.828 9.580
-8.912 -7.402 8.278
-6.910 -8.371 1.268
-5.528 -2.565 8.305
-0.630 -4.027 2.621
-9.112 -3.416 8.206
-8.215 -0.381 4.698
-6.944 -5.679 9.085
-2.659 -1.704 1.765
-4.085 -5.375 7.412
-7.600 -0.681 9.049
-5.590 -2.330 3.748
-9.023 -7.211 3.680
-0.654 -0.482 7.298
-2.100 -6.709 1.803
-6.920 -7.547 5.964
-6.013 -1.384 0.483
-3.699 -1.795 10.643
-0.829 -6.798 10.686
-4.065 -7.273 5.127
-5.875 -5.671 0.277
-0.358 -2.845 5.504
-8.818 -6.234 0.526

---

Looking at the structures above, *A* is most stable, and the difference to the next one is 3.1 kJ/mol of atoms.